The following is a meta-GGA r2SCAN calculation of BaMnS2 after structural relaxation, from the Materials Project database.

a b c (Å): 7.190 4.155 14.047
angles (deg): 90.00 90.00 90.00
Fractional coordinates of all 16 atoms:
Ba 0.208 0.250 0.129
Ba 0.292 0.750 0.629
Ba 0.708 0.250 0.371
Ba 0.792 0.750 0.871
Mn 0.231 0.750 0.364
Mn 0.269 0.250 0.864
Mn 0.731 0.750 0.136
Mn 0.769 0.250 0.636
S 0.031 0.250 0.741
S 0.238 0.750 0.953
S 0.262 0.250 0.453
S 0.469 0.750 0.241
S 0.531 0.250 0.759
S 0.738 0.750 0.547
S 0.762 0.250 0.047
S 0.969 0.750 0.259

Values from the calculation:
E   -64.28 eV per formula unit
Formation enthalpy at 0 K   -1757 meV/atom
Symmetry   Pnma, No. 62